A relaxed K3B7PtO20 crystal, computed with PBE.

a b c (Å): 8.425 11.101 19.514
angles (deg): 90.00 90.00 90.00
Positions (direct):
B: 0.674 0.750 0.377
B: 0.458 0.250 0.736
B: 0.561 0.404 0.239
B: 0.042 0.250 0.236
B: 0.826 0.750 0.877
B: 0.800 0.919 0.447
B: 0.700 0.581 0.947
B: 0.061 0.904 0.261
B: 0.439 0.596 0.761
B: 0.958 0.750 0.764
B: 0.326 0.250 0.623
B: 0.163 0.250 0.745
B: 0.939 0.404 0.739
B: 0.061 0.596 0.261
B: 0.561 0.096 0.239
B: 0.700 0.919 0.947
B: 0.439 0.904 0.761
B: 0.174 0.250 0.123
B: 0.300 0.419 0.053
B: 0.200 0.081 0.553
B: 0.837 0.750 0.255
B: 0.542 0.750 0.264
B: 0.800 0.581 0.447
B: 0.663 0.750 0.755
B: 0.300 0.081 0.053
B: 0.939 0.096 0.739
B: 0.200 0.419 0.553
B: 0.337 0.250 0.245
O: 0.771 0.250 0.567
O: 0.681 0.750 0.228
O: 0.181 0.250 0.272
O: 0.172 0.144 0.079
O: 0.126 0.194 0.408
O: 0.626 0.694 0.092
O: 0.875 0.380 0.676
O: 0.828 0.856 0.921
O: 0.046 0.123 0.551
O: 0.546 0.877 0.949
O: 0.442 0.250 0.420
O: 0.672 0.644 0.421
O: 0.234 0.971 0.526
O: 0.360 0.519 0.718
O: 0.466 0.250 0.666
O: 0.577 0.641 0.734
O: 0.172 0.356 0.079
O: 0.046 0.377 0.551
O: 0.140 0.981 0.218
O: 0.095 0.750 0.725
O: 0.125 0.880 0.324
O: 0.860 0.481 0.782
O: 0.058 0.250 0.920
O: 0.734 0.471 0.974
O: 0.734 0.029 0.974
O: 0.125 0.620 0.324
O: 0.266 0.971 0.026
O: 0.172 0.250 0.666
O: 0.423 0.141 0.266
O: 0.625 0.380 0.176
O: 0.640 0.019 0.282
O: 0.828 0.750 0.334
O: 0.954 0.623 0.449
O: 0.229 0.750 0.433
O: 0.874 0.806 0.592
O: 0.319 0.250 0.772
O: 0.860 0.019 0.782
O: 0.923 0.641 0.234
O: 0.766 0.029 0.474
O: 0.923 0.859 0.234
O: 0.077 0.141 0.766
O: 0.034 0.250 0.166
O: 0.672 0.750 0.834
O: 0.140 0.519 0.218
O: 0.954 0.877 0.449
O: 0.577 0.859 0.734
O: 0.454 0.377 0.051
O: 0.375 0.620 0.824
O: 0.328 0.356 0.579
O: 0.234 0.529 0.526
O: 0.546 0.623 0.949
O: 0.905 0.250 0.275
O: 0.328 0.250 0.166
O: 0.360 0.981 0.718
O: 0.558 0.750 0.580
O: 0.374 0.306 0.908
O: 0.672 0.856 0.421
O: 0.729 0.250 0.067
O: 0.271 0.750 0.933
O: 0.374 0.194 0.908
O: 0.828 0.644 0.921
O: 0.405 0.750 0.225
O: 0.534 0.750 0.334
O: 0.966 0.750 0.834
O: 0.423 0.359 0.266
O: 0.766 0.471 0.474
O: 0.077 0.359 0.766
O: 0.266 0.529 0.026
O: 0.640 0.481 0.282
O: 0.328 0.144 0.579
O: 0.819 0.750 0.728
O: 0.875 0.120 0.676
O: 0.595 0.250 0.775
O: 0.942 0.750 0.080
O: 0.874 0.694 0.592
O: 0.126 0.306 0.408
O: 0.625 0.120 0.176
O: 0.626 0.806 0.092
O: 0.375 0.880 0.824
O: 0.454 0.123 0.051
K: 0.886 0.479 0.112
K: 0.720 0.250 0.915
K: 0.886 0.021 0.112
K: 0.386 0.521 0.388
K: 0.780 0.250 0.415
K: 0.614 0.021 0.612
K: 0.614 0.479 0.612
K: 0.386 0.979 0.388
K: 0.114 0.521 0.888
K: 0.114 0.979 0.888
K: 0.280 0.750 0.085
K: 0.220 0.750 0.585
Pt: 0.961 0.250 0.614
Pt: 0.539 0.250 0.114
Pt: 0.461 0.750 0.886
Pt: 0.039 0.750 0.386

Output
Calculated volume in Å³/atom: 14.72
Crystal system: orthorhombic
Energy relative to the elements in eV per atom: -1.524
Total DFT energy (no corrections) in eV/atom: -6.424

---

A relaxed LuNi3 crystal, computed with PBE.

a b c (Å): 3.790 3.790 3.790
angles (deg): 90.00 90.00 90.00
Positions (direct):
Ni: 0.500 0.500 0.000
Ni: 0.000 0.500 0.500
Ni: 0.500 0.000 0.500
Lu: 0.000 0.000 0.000

Output
Calculated volume in Å³/atom: 13.61
Crystal system: cubic
Energy relative to the elements in eV per atom: -0.347
Total DFT energy (no corrections) in eV/atom: -5.813

---

A relaxed Nd3UCl3O6 crystal, computed with PBE.

a b c (Å): 9.461 9.461 5.581
angles (deg): 90.00 90.00 120.00
Positions (direct):
Nd: 0.405 0.090 0.250
Nd: 0.090 0.685 0.750
Nd: 0.685 0.595 0.250
Nd: 0.910 0.315 0.250
Nd: 0.315 0.405 0.750
Nd: 0.595 0.910 0.750
O: 0.484 0.635 0.494
O: 0.151 0.516 0.006
O: 0.635 0.151 0.994
O: 0.484 0.635 0.006
O: 0.365 0.849 0.006
O: 0.516 0.365 0.506
O: 0.365 0.849 0.494
O: 0.151 0.516 0.494
O: 0.516 0.365 0.994
O: 0.635 0.151 0.506
O: 0.849 0.484 0.506
O: 0.849 0.484 0.994
Cl: 0.812 0.752 0.750
Cl: 0.941 0.188 0.750
Cl: 0.248 0.059 0.750
Cl: 0.059 0.812 0.250
Cl: 0.188 0.248 0.250
Cl: 0.752 0.941 0.250
U: 0.333 0.667 0.250
U: 0.667 0.333 0.750

Output
Calculated volume in Å³/atom: 16.64
Crystal system: hexagonal
Energy relative to the elements in eV per atom: -3.358
Total DFT energy (no corrections) in eV/atom: -7.721

---

A relaxed MgB2H4C8N8O2 crystal, computed with PBE.

a b c (Å): 10.001 10.001 10.001
angles (deg): 102.79 102.79 123.86
Positions (direct):
C: 0.481 0.348 0.455
C: 0.799 0.141 0.948
C: 0.391 0.549 0.448
C: 0.451 0.899 0.842
C: 0.057 0.609 0.158
C: 0.652 0.107 0.133
C: 0.893 0.026 0.545
C: 0.276 0.643 0.045
C: 0.357 0.402 0.633
C: 0.859 0.807 0.658
C: 0.149 0.201 0.342
C: 0.598 0.231 0.955
C: 0.769 0.724 0.367
C: 0.101 0.943 0.552
C: 0.193 0.851 0.052
C: 0.974 0.519 0.867
N: 0.320 0.761 0.751
N: 0.675 0.131 0.258
N: 0.377 0.619 0.044
N: 0.873 0.417 0.742
N: 0.011 0.070 0.251
N: 0.930 0.181 0.941
N: 0.819 0.760 0.749
N: 0.239 0.990 0.559
N: 0.010 0.569 0.249
N: 0.575 0.333 0.956
N: 0.381 0.425 0.758
N: 0.667 0.623 0.242
N: 0.869 0.127 0.544
N: 0.583 0.325 0.456
N: 0.240 0.989 0.059
N: 0.431 0.680 0.441
H: 0.084 0.566 0.588
H: 0.978 0.496 0.412
H: 0.272 0.184 0.018
H: 0.434 0.022 0.518
H: 0.816 0.834 0.088
H: 0.504 0.916 0.482
H: 0.746 0.728 0.912
H: 0.166 0.254 0.982
O: 0.719 0.719 0.000
O: 0.281 0.281 0.000
O: 0.969 0.469 0.500
O: 0.531 0.031 0.500
Mg: 0.750 0.250 0.500
Mg: 0.500 0.500 0.000
B: 0.125 0.659 0.034
B: 0.341 0.375 0.466
B: 0.625 0.091 0.966
B: 0.909 0.875 0.534

Output
Calculated volume in Å³/atom: 14.66
Crystal system: tetragonal
Energy relative to the elements in eV per atom: -0.246
Total DFT energy (no corrections) in eV/atom: -7.349